SrBiSe3 | PBE | optimized geometry

Structure (POSCAR):
```
SrBiSe3
1.0
4.268 0.000 0.000
0.000 16.127 0.000
0.000 0.000 33.813
Sr Bi Se
16 16 48
direct
0.213 0.033 0.077
0.229 0.954 0.206
0.238 0.119 0.954
0.246 0.185 0.827
0.254 0.815 0.327
0.262 0.881 0.454
0.271 0.046 0.706
0.287 0.967 0.577
0.713 0.467 0.923
0.729 0.546 0.794
0.738 0.381 0.046
0.746 0.315 0.173
0.754 0.685 0.673
0.762 0.619 0.546
0.771 0.454 0.294
0.787 0.533 0.423
0.228 0.801 0.771
0.238 0.702 0.891
0.239 0.553 0.139
0.242 0.630 0.015
0.258 0.370 0.515
0.261 0.447 0.639
0.262 0.298 0.391
0.272 0.199 0.271
0.728 0.699 0.229
0.738 0.798 0.109
0.739 0.947 0.861
0.742 0.870 0.985
0.758 0.130 0.485
0.761 0.053 0.361
0.762 0.202 0.609
0.772 0.301 0.729
0.110 0.306 0.908
0.203 0.639 0.278
0.215 0.755 0.165
0.219 0.831 0.048
0.225 0.541 0.863
0.228 0.469 0.992
0.229 0.895 0.927
0.236 0.393 0.115
0.236 0.978 0.808
0.239 0.168 0.147
0.239 0.640 0.741
0.247 0.772 0.536
0.253 0.228 0.036
0.261 0.360 0.241
0.261 0.832 0.647
0.264 0.022 0.308
0.264 0.607 0.615
0.271 0.105 0.427
0.272 0.531 0.492
0.275 0.459 0.363
0.281 0.169 0.548
0.285 0.245 0.665
0.297 0.361 0.778
0.390 0.694 0.408
0.610 0.194 0.092
0.703 0.861 0.722
0.715 0.745 0.835
0.719 0.669 0.952
0.725 0.959 0.137
0.728 0.031 0.008
0.729 0.605 0.073
0.736 0.107 0.885
0.736 0.522 0.192
0.739 0.332 0.853
0.739 0.860 0.259
0.747 0.728 0.464
0.753 0.272 0.964
0.761 0.140 0.759
0.761 0.668 0.353
0.764 0.478 0.692
0.764 0.893 0.385
0.771 0.395 0.573
0.772 0.969 0.508
0.775 0.041 0.637
0.781 0.331 0.452
0.785 0.255 0.335
0.797 0.139 0.222
0.890 0.806 0.592
```

Output
**Calculated volume**: 145.45 Å³/f.u.
**Calculated density**: 6091 kg/m³
**Formation energy from the elements**: -1.296 eV/atom